# 1
LiTePO5: relaxed, GGA-PBE.

## Properties
M_tot: 0.00 μB/atom
volume: 439.9 Å³ per cell
ΔH_f (0 K): -2.217 eV/atom

a b c (Å): 8.7616 6.8156 7.3658
angles (deg): 90.00 90.00 90.00
Space group Pnma (No. 62)
Unique sites:
Li: 0.0000 0.0000 0.0000
Te: 0.1372 0.2500 0.2785
P: 0.1270 0.7500 0.3633
O: 0.0259 0.2500 0.5269
O: 0.0415 0.7500 0.8567
O: 0.1241 0.5683 0.2339
O: 0.2297 0.2500 0.9837

---

# 2
Sr2Mg: relaxed, GGA-PBE.

## Properties
M_tot: 0.03 μB/atom
volume: 272.7 Å³ per cell
ΔH_f (0 K): 0.094 eV/atom

a b c (Å): 4.2573 4.2573 17.3758
angles (deg): 90.00 90.00 120.00
Space group P-6m2 (No. 187)
Unique sites:
Sr: 0.0000 0.0000 0.0000
Sr: 0.0000 0.0000 0.3001
Sr: 0.6667 0.3333 0.5000
Mg: 0.6667 0.3333 0.1495

---

# 3
Mn6Al31Cu2: relaxed, GGA-PBE.

## Properties
M_tot: 0.00 μB/atom
volume: 2346.7 Å³ per cell
ΔH_f (0 K): -0.164 eV/atom

a b c (Å): 7.8058 23.9488 12.5532
angles (deg): 90.00 90.00 90.00
Space group Cmcm (No. 63)
Unique sites:
Mn: 0.0000 0.0414 0.2500
Mn: 0.0000 0.1422 0.5514
Mn: 0.0000 0.4115 0.5710
Mn: 0.0000 0.4188 0.2500
Al: 0.0000 0.0396 0.6114
Al: 0.0000 0.1356 0.1490
Al: 0.0000 0.1363 0.7500
Al: 0.0000 0.2416 0.0550
Al: 0.0000 0.3017 0.7500
Al: 0.0000 0.3143 0.2500
Al: 0.0000 0.4844 0.0940
Al: 0.1735 0.4037 0.7500
Al: 0.1842 0.2178 0.6265
Al: 0.1911 0.3903 0.1063
Al: 0.1926 0.3283 0.5648
Al: 0.1937 0.0535 0.0684
Al: 0.2393 0.4836 0.2500
Cu: 0.1723 0.2149 0.2500